No. 1
Computed, not measured: an optimized crystal structure of Rb2B2Se7 at the PBE-GGA level of DFT.

Properties
The calculation puts the energy of formation from the pure elements at -0.820 eV per atom. The calculation puts the calculated total energy at -4.1369 eV per atom. The space group is C2/c (15). The corrected total energy (MP2020 scheme) is -4.4373 eV/atom.

a b c (Å): 9.0183 9.0183 13.0650
angles (deg): 59.93 59.93 49.30
Positions (direct):
Rb 0.1187 0.6734 0.5236
Rb 0.3266 0.8813 0.9764
Rb 0.8813 0.3266 0.4764
Rb 0.6734 0.1187 0.0236
B 0.6150 0.1538 0.3491
B 0.8462 0.3850 0.1509
B 0.3850 0.8462 0.6509
B 0.1538 0.6150 0.8491
Se 0.1674 0.5695 0.0155
Se 0.4305 0.8326 0.4845
Se 0.8326 0.4305 0.9845
Se 0.5695 0.1674 0.5155
Se 0.1466 0.4019 0.8364
Se 0.5981 0.8534 0.6636
Se 0.8534 0.5981 0.1636
Se 0.4019 0.1466 0.3364
Se 0.9380 0.8995 0.7721
Se 0.1005 0.0620 0.7279
Se 0.0620 0.1005 0.2279
Se 0.8995 0.9380 0.2721
Se 0.4464 0.5536 0.7500
Se 0.5536 0.4464 0.2500

=====

No. 2
Computed, not measured: an optimized crystal structure of RbBSe3 at the PBE-GGA level of DFT.

Properties
The calculation puts the energy of formation from the pure elements at -0.833 eV per atom. The calculation puts the calculated total energy at -4.1791 eV per atom. The space group is P2_1/c (14). The corrected total energy (MP2020 scheme) is -4.4623 eV/atom.

a b c (Å): 12.7012 6.2838 7.5040
angles (deg): 75.34 90.00 90.00
Positions (direct):
Rb 0.9222 0.2901 0.2581
Rb 0.4222 0.2099 0.7419
Rb 0.0778 0.7099 0.7419
Rb 0.5778 0.7901 0.2581
B 0.7681 0.3095 0.7060
B 0.2681 0.1905 0.2940
B 0.2319 0.6905 0.2940
B 0.7319 0.8095 0.7060
Se 0.8207 0.8169 0.9397
Se 0.3207 0.6831 0.0603
Se 0.1793 0.1831 0.0603
Se 0.6793 0.3169 0.9397
Se 0.5924 0.6589 0.8040
Se 0.0924 0.8411 0.1960
Se 0.4076 0.3411 0.1960
Se 0.9076 0.1589 0.8040
Se 0.8034 0.6201 0.5478
Se 0.3034 0.8799 0.4522
Se 0.1966 0.3799 0.4522
Se 0.6966 0.1201 0.5478

=====

No. 3
Computed, not measured: an optimized crystal structure of ReB at the PBE-GGA level of DFT.

Properties
The calculation puts the energy of formation from the pure elements at 0.013 eV per atom. The calculation puts the calculated total energy at -9.5492 eV per atom. The space group is I4_1/amd (141).

a b c (Å): 7.5338 7.5338 7.5338
angles (deg): 94.57 94.57 147.22
Positions (direct):
Re 0.1266 0.4941 0.6325
Re 0.8615 0.4941 0.3675
Re 0.7441 0.6115 0.8675
Re 0.7441 0.8766 0.1325
Re 0.3885 0.2559 0.1325
Re 0.5059 0.8734 0.3675
Re 0.5059 0.1385 0.6325
Re 0.1234 0.2559 0.8675
B 0.6697 0.9917 0.6780
B 0.3137 0.9917 0.3220
B 0.2417 0.0637 0.8220
B 0.2417 0.4197 0.1780
B 0.9363 0.7583 0.1780
B 0.0083 0.3303 0.3220
B 0.0083 0.6863 0.6780
B 0.5803 0.7583 0.8220

=====

No. 4
Computed, not measured: an optimized crystal structure of Ta3Re3B4 at the PBE-GGA level of DFT.

Properties
The calculation puts the energy of formation from the pure elements at -0.327 eV per atom. The calculation puts the calculated total energy at -10.2892 eV per atom. The space group is Amm2 (38).

a b c (Å): 3.0676 6.2587 6.2587
angles (deg): 86.88 90.00 90.00
Positions (direct):
Ta 0.0000 0.5096 0.4846
Ta 0.0000 0.9846 0.0096
Ta 0.5000 0.1700 0.6700
Re 0.5000 0.8652 0.3652
Re 0.5000 0.3269 0.1511
Re 0.5000 0.6511 0.8269
B 0.0000 0.3758 0.8758
B 0.0000 0.6095 0.1095
B 0.0000 0.1356 0.3717
B 0.0000 0.8717 0.6356

=====

No. 5
Computed, not measured: an optimized crystal structure of Tb3ReB7 at the PBE-GGA level of DFT.

Properties
The calculation puts the energy of formation from the pure elements at -0.589 eV per atom. The calculation puts the calculated total energy at -7.2350 eV per atom. The space group is Cmcm (63).

a b c (Å): 8.1317 8.1317 9.3918
angles (deg): 90.00 90.00 154.79
Positions (direct):
Tb 0.8948 0.1052 0.0604
Tb 0.1052 0.8948 0.5604
Tb 0.1052 0.8948 0.9396
Tb 0.8948 0.1052 0.4396
Tb 0.2424 0.7576 0.2500
Tb 0.7576 0.2424 0.7500
Re 0.0531 0.9469 0.2500
Re 0.9469 0.0531 0.7500
B 0.4589 0.5411 0.2500
B 0.5411 0.4589 0.7500
B 0.7269 0.2731 0.0330
B 0.2731 0.7269 0.5330
B 0.2731 0.7269 0.9670
B 0.7269 0.2731 0.4670
B 0.6320 0.3680 0.3491
B 0.3680 0.6320 0.8491
B 0.3680 0.6320 0.6509
B 0.6320 0.3680 0.1509
B 0.5214 0.4786 0.4042
B 0.4786 0.5214 0.9042
B 0.4786 0.5214 0.5958
B 0.5214 0.4786 0.0958

=====

No. 6
Computed, not measured: an optimized crystal structure of ThReB4 at the PBE-GGA level of DFT.

Properties
The calculation puts the energy of formation from the pure elements at -0.557 eV per atom. The calculation puts the calculated total energy at -8.3192 eV per atom. The space group is Cmmm (65).

a b c (Å): 6.0860 6.0860 3.7479
angles (deg): 90.00 90.00 104.07
Positions (direct):
Th 0.3006 0.6994 0.0000
Th 0.6994 0.3006 0.0000
Re 0.1824 0.1824 0.0000
Re 0.8176 0.8176 0.0000
B 0.3745 0.0643 0.5000
B 0.6255 0.9357 0.5000
B 0.0643 0.3745 0.5000
B 0.9357 0.6255 0.5000
B 0.3719 0.3719 0.5000
B 0.6281 0.6281 0.5000
B 0.0891 0.9109 0.5000
B 0.9109 0.0891 0.5000

=====

No. 7
Computed, not measured: an optimized crystal structure of Tm2ReB6 at the PBE-GGA level of DFT.

Properties
The calculation puts the energy of formation from the pure elements at -0.676 eV per atom. The calculation puts the calculated total energy at -7.5068 eV per atom. The space group is Pbam (55).

a b c (Å): 3.6353 9.1004 11.4692
angles (deg): 90.00 90.00 90.00
Positions (direct):
Tm 0.0000 0.3239 0.4138
Tm 0.0000 0.6761 0.5862
Tm 0.0000 0.8239 0.0862
Tm 0.0000 0.1761 0.9138
Tm 0.0000 0.9438 0.3703
Tm 0.0000 0.0562 0.6297
Tm 0.0000 0.4438 0.1297
Tm 0.0000 0.5562 0.8703
Re 0.0000 0.6389 0.3209
Re 0.0000 0.3611 0.6791
Re 0.0000 0.1389 0.1791
Re 0.0000 0.8611 0.8209
B 0.5000 0.5534 0.4333
B 0.5000 0.4466 0.5667
B 0.5000 0.0534 0.0667
B 0.5000 0.9466 0.9333
B 0.5000 0.7507 0.4199
B 0.5000 0.2493 0.5801
B 0.5000 0.2507 0.0801
B 0.5000 0.7493 0.9199
B 0.5000 0.7935 0.2656
B 0.5000 0.2065 0.7344
B 0.5000 0.2935 0.2344
B 0.5000 0.7065 0.7656
B 0.5000 0.6316 0.1852
B 0.5000 0.3684 0.8148
B 0.5000 0.1316 0.3148
B 0.5000 0.8684 0.6852
B 0.5000 0.9822 0.2123
B 0.5000 0.0178 0.7877
B 0.5000 0.4822 0.2877
B 0.5000 0.5178 0.7123
B 0.5000 0.5998 0.0279
B 0.5000 0.4002 0.9721
B 0.5000 0.0998 0.4721
B 0.5000 0.9002 0.5279

=====

No. 8
Computed, not measured: an optimized crystal structure of Tm3ReB7 at the PBE-GGA level of DFT.

Properties
The calculation puts the energy of formation from the pure elements at -0.666 eV per atom. The calculation puts the calculated total energy at -7.2682 eV per atom. The space group is Cmcm (63).

a b c (Å): 7.9750 7.9750 9.2732
angles (deg): 90.00 90.00 154.67
Positions (direct):
Tm 0.8943 0.1057 0.0596
Tm 0.1057 0.8943 0.5596
Tm 0.1057 0.8943 0.9404
Tm 0.8943 0.1057 0.4404
Tm 0.2433 0.7567 0.2500
Tm 0.7567 0.2433 0.7500
Re 0.0522 0.9478 0.2500
Re 0.9478 0.0522 0.7500
B 0.4542 0.5458 0.2500
B 0.5458 0.4542 0.7500
B 0.7275 0.2725 0.0336
B 0.2725 0.7275 0.5336
B 0.2725 0.7275 0.9664
B 0.7275 0.2725 0.4664
B 0.6325 0.3675 0.3498
B 0.3675 0.6325 0.8498
B 0.3675 0.6325 0.6502
B 0.6325 0.3675 0.1502
B 0.5199 0.4801 0.4055
B 0.4801 0.5199 0.9055
B 0.4801 0.5199 0.5945
B 0.5199 0.4801 0.0945

=====

No. 9
Computed, not measured: an optimized crystal structure of UReB4 at the PBE-GGA level of DFT.

Properties
The calculation puts the energy of formation from the pure elements at -0.539 eV per atom. The calculation puts the calculated total energy at -8.9480 eV per atom. The space group is Cmmm (65).

a b c (Å): 3.6044 5.9266 5.9266
angles (deg): 104.03 90.00 90.00
Positions (direct):
U 0.0000 0.3003 0.6997
U 0.0000 0.6997 0.3003
Re 0.0000 0.8128 0.8128
Re 0.0000 0.1872 0.1872
B 0.5000 0.9357 0.6166
B 0.5000 0.0643 0.3834
B 0.5000 0.6166 0.9357
B 0.5000 0.3834 0.0643
B 0.5000 0.6194 0.6194
B 0.5000 0.3806 0.3806
B 0.5000 0.0929 0.9071
B 0.5000 0.9071 0.0929

=====

No. 10
Computed, not measured: an optimized crystal structure of UReB4 at the PBE-GGA level of DFT.

Properties
The calculation puts the energy of formation from the pure elements at -0.538 eV per atom. The calculation puts the calculated total energy at -8.9473 eV per atom. The space group is Pbam (55).

a b c (Å): 3.6001 5.9274 11.5076
angles (deg): 90.00 90.00 90.00
Positions (direct):
U 0.0000 0.1290 0.1499
U 0.0000 0.8710 0.8501
U 0.0000 0.6290 0.3501
U 0.0000 0.3710 0.6499
Re 0.0000 0.1406 0.4062
Re 0.0000 0.8594 0.5938
Re 0.0000 0.6406 0.0938
Re 0.0000 0.3594 0.9062
B 0.5000 0.4739 0.1928
B 0.5000 0.5261 0.8072
B 0.5000 0.9739 0.3072
B 0.5000 0.0261 0.6928
B 0.5000 0.2908 0.3109
B 0.5000 0.7092 0.6891
B 0.5000 0.7908 0.1891
B 0.5000 0.2092 0.8109
B 0.5000 0.3679 0.4678
B 0.5000 0.6321 0.5322
B 0.5000 0.8679 0.0322
B 0.5000 0.1321 0.9678
B 0.5000 0.3848 0.0469
B 0.5000 0.6152 0.9531
B 0.5000 0.8848 0.4531
B 0.5000 0.1152 0.5469

=====

No. 11
Computed, not measured: an optimized crystal structure of UReB3 at the PBE-GGA level of DFT.

Properties
The calculation puts the energy of formation from the pure elements at -0.555 eV per atom. The calculation puts the calculated total energy at -9.3096 eV per atom. The space group is P6_3/mmc (194).

a b c (Å): 5.0736 5.0736 5.1226
angles (deg): 90.00 90.00 120.00
Positions (direct):
U 0.6667 0.3333 0.7500
U 0.3333 0.6667 0.2500
Re 0.0000 0.0000 0.5000
Re 0.0000 0.0000 0.0000
B 0.2197 0.4394 0.7500
B 0.7803 0.2197 0.2500
B 0.4394 0.2197 0.2500
B 0.5606 0.7803 0.7500
B 0.7803 0.5606 0.2500
B 0.2197 0.7803 0.7500

=====

No. 12
Computed, not measured: an optimized crystal structure of V3ReB4 at the PBE-GGA level of DFT.

Properties
The calculation puts the energy of formation from the pure elements at -0.714 eV per atom. The calculation puts the calculated total energy at -9.0162 eV per atom. The space group is Pmm2 (25).

a b c (Å): 2.9949 3.0761 8.1420
angles (deg): 90.00 90.00 90.00
Positions (direct):
V 0.0000 0.5000 0.6453
V 0.5000 0.5000 0.3600
V 0.5000 0.0000 0.8524
Re 0.0000 0.0000 0.1510
B 0.0000 0.0000 0.4412
B 0.0000 0.5000 0.9302
B 0.5000 0.5000 0.0559
B 0.5000 0.0000 0.5639

=====

No. 13
Computed, not measured: an optimized crystal structure of ReBW at the PBE-GGA level of DFT.

Properties
The calculation puts the energy of formation from the pure elements at -0.225 eV per atom. The calculation puts the calculated total energy at -10.9188 eV per atom. The space group is Fmmm (69).

a b c (Å): 4.5684 4.5896 4.5896
angles (deg): 61.77 74.65 105.35
Positions (direct):
Re 0.5000 0.3299 0.8299
Re 0.5000 0.6701 0.1701
B 0.0000 0.2500 0.7500
B 0.0000 0.7500 0.2500
W 0.1653 0.8326 0.6674
W 0.8347 0.1674 0.3326

=====

No. 14
Computed, not measured: an optimized crystal structure of Zr9Re4B at the PBE-GGA level of DFT.

Properties
The calculation puts the energy of formation from the pure elements at -0.269 eV per atom. The calculation puts the calculated total energy at -9.7970 eV per atom. The space group is P6_3/mmc (194).

a b c (Å): 8.4901 8.4901 8.7187
angles (deg): 90.00 90.00 120.00
Positions (direct):
Zr 0.2016 0.7984 0.4463
Zr 0.2016 0.4032 0.4463
Zr 0.5968 0.7984 0.4463
Zr 0.7984 0.2016 0.5537
Zr 0.7984 0.5968 0.5537
Zr 0.4032 0.2016 0.5537
Zr 0.7984 0.2016 0.9463
Zr 0.7984 0.5968 0.9463
Zr 0.4032 0.2016 0.9463
Zr 0.2016 0.7984 0.0537
Zr 0.2016 0.4032 0.0537
Zr 0.5968 0.7984 0.0537
Zr 0.5389 0.4611 0.2500
Zr 0.5389 0.0778 0.2500
Zr 0.9222 0.4611 0.2500
Zr 0.4611 0.5389 0.7500
Zr 0.4611 0.9222 0.7500
Zr 0.0778 0.5389 0.7500
Re 0.8924 0.1076 0.2500
Re 0.8924 0.7848 0.2500
Re 0.2152 0.1076 0.2500
Re 0.1076 0.8924 0.7500
Re 0.1076 0.2152 0.7500
Re 0.7848 0.8924 0.7500
Re 0.0000 0.0000 0.5000
Re 0.0000 0.0000 0.0000
B 0.3333 0.6667 0.2500
B 0.6667 0.3333 0.7500

=====

No. 15
Computed, not measured: an optimized crystal structure of BRh at the PBE-GGA level of DFT.

Properties
The calculation puts the energy of formation from the pure elements at -0.378 eV per atom. The calculation puts the calculated total energy at -7.3998 eV per atom. The space group is P6_3/mmc (194).

a b c (Å): 3.3770 3.3770 4.1946
angles (deg): 90.00 90.00 120.00
Positions (direct):
B 0.0000 0.0000 0.0000
B 0.0000 0.0000 0.5000
Rh 0.6667 0.3333 0.7500
Rh 0.3333 0.6667 0.2500

=====

No. 16
Computed, not measured: an optimized crystal structure of B3Rh7 at the PBE-GGA level of DFT.

Properties
The calculation puts the energy of formation from the pure elements at -0.235 eV per atom. The calculation puts the calculated total energy at -7.3942 eV per atom. The space group is P6_3mc (186).

a b c (Å): 7.5164 7.5164 4.8905
angles (deg): 90.00 90.00 120.00
Positions (direct):
B 0.1884 0.3768 0.8346
B 0.6232 0.8116 0.8346
B 0.1884 0.8116 0.8346
B 0.8116 0.6232 0.3346
B 0.3768 0.1884 0.3346
B 0.8116 0.1884 0.3346
Rh 0.6667 0.3333 0.5777
Rh 0.3333 0.6667 0.0777
Rh 0.8772 0.7544 0.7242
Rh 0.2456 0.1228 0.7242
Rh 0.8772 0.1228 0.7242
Rh 0.1228 0.2456 0.2242
Rh 0.7544 0.8772 0.2242
Rh 0.1228 0.8772 0.2242
Rh 0.4559 0.9117 0.5858
Rh 0.0883 0.5441 0.5858
Rh 0.4559 0.5441 0.5858
Rh 0.5441 0.0883 0.0858
Rh 0.9117 0.4559 0.0858
Rh 0.5441 0.4559 0.0858

=====

No. 17
Computed, not measured: an optimized crystal structure of BRh at the PBE-GGA level of DFT.

Properties
The calculation puts the energy of formation from the pure elements at -0.164 eV per atom. The calculation puts the calculated total energy at -7.1863 eV per atom. The space group is P6_3/mmc (194).

a b c (Å): 2.9819 2.9819 5.5556
angles (deg): 90.00 90.00 120.00
Positions (direct):
B 0.3333 0.6667 0.2500
B 0.6667 0.3333 0.7500
Rh 0.0000 0.0000 0.5000
Rh 0.0000 0.0000 0.0000